Model A:
Compound: SrCa7Mn8O24
Source: Materials Project
Functional: PBE+U
Structure: relaxed

- Magnetization: 96.0 μB/cell

The structure in CIF format:
```
data_SrCa7Mn8O24
_chemical_formula_sum 'Sr4 Ca28 Mn32 O96'
_space_group_name_H-M_alt 'P -1'
_space_group_IT_number 2
_cell_length_a 10.721
_cell_length_b 10.851
_cell_length_c 15.203
_cell_angle_alpha 89.99
_cell_angle_beta 89.99
_cell_angle_gamma 89.99
loop_
_space_group_symop_operation_xyz
'x,y,z'
'-x,-y,-z'
loop_
_atom_site_label
_atom_site_fract_x
_atom_site_fract_y
_atom_site_fract_z
_atom_site_occupancy
Sr1 0.003 0.482 0.126 1
Sr2 0.247 0.733 0.125 1
Ca1 0.003 0.979 0.125 1
Ca2 0.004 0.477 0.625 1
Ca3 0.004 0.978 0.625 1
Ca4 0.245 0.227 0.625 1
Ca5 0.245 0.727 0.625 1
Ca6 0.246 0.228 0.125 1
Ca7 0.254 0.273 0.375 1
Ca8 0.254 0.773 0.375 1
Ca9 0.255 0.272 0.875 1
Ca10 0.255 0.773 0.875 1
Ca11 0.494 0.523 0.875 1
Ca12 0.495 0.022 0.875 1
Ca13 0.495 0.023 0.375 1
Ca14 0.495 0.523 0.375 1
Mn1 0.000 0.249 0.251 1
Mn2 0.000 0.250 0.500 1
Mn3 0.001 0.247 0.001 1
Mn4 0.001 0.248 0.748 1
Mn5 0.250 0.000 0.500 1
Mn6 0.250 0.000 0.750 1
Mn7 0.250 0.002 0.251 1
Mn8 0.250 0.002 0.999 1
Mn9 0.250 0.500 0.500 1
Mn10 0.251 0.499 0.251 1
Mn11 0.252 0.500 0.749 1
Mn12 0.253 0.500 0.999 1
Mn13 0.498 0.250 0.001 1
Mn14 0.498 0.250 0.749 1
Mn15 0.500 0.250 0.250 1
Mn16 0.500 0.250 0.500 1
O1 0.037 0.241 0.875 1
O2 0.039 0.239 0.375 1
O3 0.039 0.740 0.376 1
O4 0.039 0.748 0.874 1
O5 0.103 0.104 0.230 1
O6 0.103 0.104 0.520 1
O7 0.103 0.604 0.520 1
O8 0.104 0.104 0.020 1
O9 0.104 0.104 0.729 1
O10 0.105 0.606 0.728 1
O11 0.107 0.607 0.237 1
O12 0.108 0.609 0.015 1
O13 0.142 0.860 0.016 1
O14 0.142 0.860 0.234 1
O15 0.147 0.354 0.520 1
O16 0.147 0.354 0.730 1
O17 0.147 0.854 0.520 1
O18 0.147 0.854 0.729 1
O19 0.148 0.352 0.017 1
O20 0.149 0.351 0.232 1
O21 0.211 0.489 0.376 1
O22 0.211 0.991 0.376 1
O23 0.211 0.991 0.874 1
O24 0.221 0.489 0.874 1
O25 0.289 0.009 0.125 1
O26 0.289 0.502 0.125 1
O27 0.290 0.010 0.625 1
O28 0.290 0.510 0.625 1
O29 0.352 0.146 0.770 1
O30 0.352 0.146 0.980 1
O31 0.353 0.146 0.270 1
O32 0.353 0.146 0.480 1
O33 0.353 0.646 0.480 1
O34 0.354 0.647 0.770 1
O35 0.356 0.645 0.272 1
O36 0.356 0.645 0.978 1
O37 0.396 0.895 0.270 1
O38 0.396 0.895 0.980 1
O39 0.397 0.396 0.480 1
O40 0.397 0.396 0.769 1
O41 0.397 0.896 0.480 1
O42 0.397 0.896 0.770 1
O43 0.398 0.396 0.271 1
O44 0.398 0.396 0.980 1
O45 0.460 0.260 0.125 1
O46 0.460 0.260 0.625 1
O47 0.461 0.760 0.625 1
O48 0.471 0.761 0.125 1
```

Model B:
Compound: SrCa7Mn8O24
Source: Materials Project
Functional: PBE+U
Structure: relaxed

- Magnetization: 24.4 μB/cell

The structure in CIF format:
```
data_SrCa7Mn8O24
_chemical_formula_sum 'Sr1 Ca7 Mn8 O24'
_space_group_name_H-M_alt 'P m -3 m'
_space_group_IT_number 221
_space_group_name_Hall '-P 4 2 3'
_cell_length_a 7.619
_cell_length_b 7.619
_cell_length_c 7.619
_cell_angle_alpha 90.00
_cell_angle_beta 90.00
_cell_angle_gamma 90.00
loop_
_atom_site_label
_atom_site_fract_x
_atom_site_fract_y
_atom_site_fract_z
_atom_site_occupancy
Sr1 0.000 0.000 0.000 1
Ca1 0.000 0.000 0.500 1
Ca2 0.000 0.500 0.500 1
Ca3 0.500 0.500 0.500 1
Mn1 0.250 0.250 0.250 1
O1 0.000 0.252 0.252 1
O2 0.250 0.250 0.500 1
```

Relative stability in kJ/mol of atoms, measured from the most stable structure: model A 0.0; model B 5.4

Model A:
Compound: SrCa7Mn8O20
Source: Materials Project
Functional: PBE+U
Structure: relaxed

- Magnetization: 64.0 μB/cell

The structure in CIF format:
```
data_SrCa7Mn8O20
_chemical_formula_sum 'Sr2 Ca14 Mn16 O40'
_space_group_name_H-M_alt 'C 1 m 1'
_space_group_IT_number 8
_cell_length_a 11.045
_cell_length_b 11.078
_cell_length_c 7.683
_cell_angle_alpha 90.00
_cell_angle_beta 92.56
_cell_angle_gamma 90.00
loop_
_space_group_symop_operation_xyz
'x,y,z'
'x,-y,z'
'x+1/2,y+1/2,z'
'x+1/2,-y+1/2,z'
loop_
_atom_site_label
_atom_site_fract_x
_atom_site_fract_y
_atom_site_fract_z
_atom_site_occupancy
Sr1 0.000 0.000 0.000 1
Ca1 0.003 0.500 0.028 1
Ca2 0.012 0.500 0.481 1
Ca3 0.249 0.261 0.016 1
Ca4 0.257 0.258 0.473 1
Ca5 0.478 0.500 0.457 1
Mn1 0.004 0.245 0.758 1
Mn2 0.240 0.500 0.748 1
Mn3 0.242 0.500 0.253 1
Mn4 0.245 0.000 0.278 1
Mn5 0.245 0.000 0.752 1
Mn6 0.491 0.246 0.249 1
O1 0.112 0.385 0.791 1
O2 0.118 0.124 0.282 1
O3 0.122 0.378 0.227 1
O4 0.149 0.129 0.821 1
O5 0.235 0.500 0.500 1
O6 0.313 0.000 0.536 1
O7 0.359 0.123 0.222 1
O8 0.363 0.372 0.759 1
O9 0.364 0.379 0.246 1
O10 0.469 0.239 0.997 1
O11 0.483 0.233 0.507 1
```

Model B:
Compound: SrCa7Mn8O20
Source: Materials Project
Functional: PBE+U
Structure: relaxed

- Magnetization: 128.0 μB/cell

The structure in CIF format:
```
data_SrCa7Mn8O20
_chemical_formula_sum 'Sr4 Ca28 Mn32 O80'
_space_group_name_H-M_alt 'P 1'
_space_group_IT_number 1
_cell_length_a 11.057
_cell_length_b 11.183
_cell_length_c 15.359
_cell_angle_alpha 90.02
_cell_angle_beta 90.28
_cell_angle_gamma 91.45
loop_
_space_group_symop_operation_xyz
'x,y,z'
loop_
_atom_site_label
_atom_site_fract_x
_atom_site_fract_y
_atom_site_fract_z
_atom_site_occupancy
Sr1 0.000 0.000 0.000 1
Sr2 0.011 0.014 0.266 1
Sr3 0.234 0.760 0.271 1
Sr4 0.726 0.275 0.011 1
Ca1 0.008 0.498 0.992 1
Ca2 0.009 0.494 0.496 1
Ca3 0.009 0.990 0.495 1
Ca4 0.012 0.513 0.270 1
Ca5 0.013 0.020 0.767 1
Ca6 0.016 0.518 0.766 1
Ca7 0.237 0.756 0.776 1
Ca8 0.238 0.257 0.278 1
Ca9 0.240 0.254 0.775 1
Ca10 0.279 0.259 0.003 1
Ca11 0.281 0.760 0.504 1
Ca12 0.282 0.258 0.505 1
Ca13 0.283 0.760 0.004 1
Ca14 0.457 0.510 0.265 1
Ca15 0.459 0.011 0.764 1
Ca16 0.460 0.510 0.765 1
Ca17 0.464 0.014 0.264 1
Ca18 0.480 0.006 0.009 1
Ca19 0.484 0.508 0.013 1
Ca20 0.485 0.006 0.513 1
Ca21 0.488 0.510 0.512 1
Ca22 0.695 0.284 0.258 1
Ca23 0.696 0.282 0.758 1
Ca24 0.697 0.782 0.757 1
Ca25 0.699 0.784 0.258 1
Ca26 0.722 0.775 0.513 1
Ca27 0.724 0.276 0.515 1
Ca28 0.724 0.774 0.014 1
Mn1 0.244 0.008 0.889 1
Mn2 0.244 0.501 0.134 1
Mn3 0.245 0.002 0.635 1
Mn4 0.246 0.508 0.393 1
Mn5 0.247 0.504 0.634 1
Mn6 0.247 0.510 0.890 1
Mn7 0.249 0.011 0.392 1
Mn8 0.251 0.002 0.134 1
Mn9 0.481 0.262 0.140 1
Mn10 0.483 0.261 0.640 1
Mn11 0.484 0.761 0.640 1
Mn12 0.487 0.760 0.139 1
Mn13 0.492 0.266 0.884 1
Mn14 0.496 0.268 0.386 1
Mn15 0.497 0.765 0.884 1
Mn16 0.497 0.767 0.385 1
Mn17 0.724 0.012 0.135 1
Mn18 0.727 0.014 0.641 1
Mn19 0.727 0.513 0.641 1
Mn20 0.727 0.516 0.140 1
Mn21 0.732 0.028 0.890 1
Mn22 0.734 0.528 0.397 1
Mn23 0.735 0.034 0.399 1
Mn24 0.738 0.532 0.894 1
Mn25 0.968 0.803 0.644 1
Mn26 0.969 0.787 0.140 1
Mn27 0.970 0.304 0.643 1
Mn28 0.972 0.309 0.142 1
Mn29 0.992 0.738 0.390 1
Mn30 0.997 0.743 0.885 1
Mn31 0.998 0.246 0.389 1
Mn32 0.999 0.247 0.883 1
O1 0.001 0.719 0.258 1
O2 0.020 0.234 0.256 1
O3 0.022 0.724 0.755 1
O4 0.025 0.226 0.753 1
O5 0.075 0.463 0.133 1
O6 0.078 0.954 0.634 1
O7 0.081 0.454 0.634 1
O8 0.086 0.884 0.381 1
O9 0.090 0.394 0.875 1
O10 0.090 0.895 0.875 1
O11 0.094 0.393 0.380 1
O12 0.097 0.921 0.138 1
O13 0.141 0.638 0.418 1
O14 0.142 0.140 0.415 1
O15 0.142 0.142 0.911 1
O16 0.145 0.642 0.916 1
O17 0.237 0.536 0.261 1
O18 0.241 0.043 0.760 1
O19 0.242 0.546 0.759 1
O20 0.245 0.044 0.260 1
O21 0.249 0.967 0.513 1
O22 0.250 0.465 0.012 1
O23 0.250 0.969 0.010 1
O24 0.251 0.464 0.512 1
O25 0.332 0.346 0.154 1
O26 0.334 0.346 0.653 1
O27 0.335 0.846 0.653 1
O28 0.347 0.853 0.148 1
O29 0.354 0.371 0.371 1
O30 0.354 0.373 0.869 1
O31 0.354 0.870 0.871 1
O32 0.360 0.877 0.373 1
O33 0.381 0.616 0.116 1
O34 0.382 0.119 0.903 1
O35 0.384 0.114 0.614 1
O36 0.384 0.115 0.113 1
O37 0.384 0.618 0.405 1
O38 0.385 0.614 0.614 1
O39 0.393 0.624 0.906 1
O40 0.395 0.128 0.407 1
O41 0.486 0.223 0.760 1
O42 0.488 0.225 0.263 1
O43 0.489 0.723 0.261 1
O44 0.490 0.720 0.762 1
O45 0.492 0.298 0.012 1
O46 0.499 0.797 0.512 1
O47 0.500 0.302 0.512 1
O48 0.502 0.798 0.010 1
O49 0.581 0.408 0.662 1
O50 0.581 0.409 0.158 1
O51 0.581 0.908 0.660 1
O52 0.584 0.907 0.161 1
O53 0.607 0.419 0.361 1
O54 0.607 0.915 0.859 1
O55 0.615 0.416 0.866 1
O56 0.617 0.922 0.360 1
O57 0.635 0.170 0.888 1
O58 0.648 0.182 0.392 1
O59 0.648 0.678 0.391 1
O60 0.649 0.167 0.136 1
O61 0.649 0.679 0.890 1
O62 0.651 0.670 0.132 1
O63 0.652 0.171 0.632 1
O64 0.653 0.671 0.632 1
O65 0.755 0.480 0.515 1
O66 0.759 0.984 0.010 1
O67 0.763 0.979 0.514 1
O68 0.770 0.494 0.015 1
O69 0.838 0.412 0.200 1
O70 0.840 0.906 0.186 1
O71 0.841 0.411 0.703 1
O72 0.841 0.914 0.705 1
O73 0.883 0.109 0.873 1
O74 0.891 0.103 0.385 1
O75 0.893 0.588 0.385 1
O76 0.895 0.598 0.876 1
O77 0.939 0.775 0.512 1
O78 0.940 0.771 0.008 1
O79 0.942 0.283 0.511 1
O80 0.955 0.276 0.010 1
```

Relative stability in kJ/mol of atoms, measured from the most stable structure: model A 5.2; model B 0.0